Record 1
Material: MgAl4H12O12
Method: DFT, GGA-PBE
State: relaxed

Computed properties:
As for the final energy: -165.13 eV for the cell shown. As for the total energy after the MP2020 corrections: -173.38 eV per cell. The calculation puts the calculated density at 2.37 g/cm3. The value obtained for the magnetic moment is 0.0 μB per cell. Its relative energy among the computed polymorphs is 0.039 eV/atom. As for the symmetry: P1 (1). Its energy relative to the elements is -1.96 eV per atom.

POSCAR file:
```
MgAl4H12O12
1.0
-4.067 3.113 4.721
5.112 -1.745 5.511
3.927 1.831 -5.747
Mg Al H O
1 4 12 12
direct
0.244 0.891 0.627
0.500 0.857 0.318
0.543 0.182 0.697
0.976 0.632 0.651
0.036 0.301 0.377
0.935 0.030 0.520
0.771 0.719 0.033
0.582 0.542 0.803
0.427 0.517 0.140
0.854 0.590 0.204
0.843 0.301 0.570
0.321 0.139 0.220
0.743 0.901 0.814
0.553 0.753 0.999
0.476 0.239 0.005
0.094 0.388 0.109
0.944 0.726 0.002
0.915 0.935 0.578
0.135 0.087 0.437
0.454 0.405 0.676
0.565 0.611 0.348
0.007 0.578 0.403
0.006 0.391 0.640
0.509 0.120 0.393
0.551 0.915 0.636
0.390 0.791 0.962
0.608 0.178 0.022
0.971 0.275 0.053
0.071 0.745 0.981
```

=====

Record 2
Material: Cu5As2H4O12
Method: DFT, GGA-PBE
State: relaxed

Computed properties:
As for the final energy: -244.47 eV for the cell shown. As for the total energy after the MP2020 corrections: -260.96 eV per cell. The calculation puts the calculated density at 4.56 g/cm3. The value obtained for the magnetic moment is 6.0 μB per cell. As for the symmetry: P2_1/c (14). Its energy relative to the elements is -1.21 eV per atom.

POSCAR file:
```
Cu5As2H4O12
1.0
5.842 0.000 0.000
0.000 4.658 0.000
0.000 0.821 17.749
Cu As H O
10 4 8 24
direct
0.683 0.504 0.253
0.317 0.496 0.747
0.183 0.496 0.247
0.817 0.504 0.753
0.522 0.456 0.085
0.478 0.544 0.915
0.022 0.544 0.415
0.978 0.456 0.585
0.000 0.500 0.000
0.500 0.500 0.500
0.918 0.978 0.131
0.082 0.022 0.869
0.418 0.022 0.369
0.582 0.978 0.631
0.299 0.874 0.016
0.701 0.126 0.984
0.799 0.126 0.484
0.201 0.874 0.516
0.428 0.858 0.175
0.572 0.142 0.825
0.928 0.142 0.325
0.072 0.858 0.675
0.933 0.747 0.212
0.067 0.253 0.788
0.433 0.253 0.288
0.567 0.747 0.712
0.681 0.184 0.151
0.319 0.816 0.849
0.181 0.816 0.349
0.819 0.184 0.651
0.318 0.665 0.012
0.682 0.335 0.988
0.818 0.335 0.488
0.182 0.665 0.512
0.664 0.835 0.379
0.336 0.165 0.621
0.164 0.165 0.121
0.836 0.835 0.879
0.434 0.646 0.182
0.566 0.354 0.818
0.934 0.354 0.318
0.066 0.646 0.682
0.835 0.785 0.055
0.165 0.215 0.945
0.335 0.215 0.445
0.665 0.785 0.555
```

=====

Record 3
Material: Na3SO4F
Method: DFT, GGA-PBE
State: relaxed

Computed properties:
As for the final energy: -45.02 eV for the cell shown. As for the total energy after the MP2020 corrections: -48.23 eV per cell. The calculation puts the calculated density at 1.60 g/cm3. The value obtained for the magnetic moment is 0.0 μB per cell. Its relative energy among the computed polymorphs is 0.332 eV/atom. As for the symmetry: P-43m (215). Its energy relative to the elements is -2.05 eV per atom.

POSCAR file:
```
Na3SO4F
1.0
5.760 0.000 0.000
0.000 5.760 0.000
0.000 0.000 5.760
Na S O F
3 1 4 1
direct
0.000 0.500 0.000
0.000 0.000 0.500
0.500 0.000 0.000
0.000 0.000 0.000
0.149 0.851 0.149
0.851 0.149 0.149
0.149 0.149 0.851
0.851 0.851 0.851
0.500 0.500 0.500
```

=====

Record 4
Material: CaPt2
Method: DFT, GGA-PBE
State: relaxed

Computed properties:
As for the final energy: -33.89 eV for the cell shown. The calculation puts the calculated density at 12.40 g/cm3. As for the symmetry: Fd-3m (227). Its energy relative to the elements is -0.93 eV per atom.

POSCAR file:
```
CaPt2
1.0
-1.733 4.714 2.146
-1.085 4.248 -3.257
-5.164 1.611 -0.759
Ca Pt
2 4
direct
0.000 0.000 0.000
0.750 0.750 0.750
0.375 0.375 0.875
0.375 0.375 0.375
0.875 0.375 0.375
0.375 0.875 0.375
```

=====

Record 5
Material: Ce6Ni20P13
Method: DFT, GGA-PBE
State: relaxed

Computed properties:
As for the final energy: -256.54 eV for the cell shown. The calculation puts the calculated density at 7.47 g/cm3. The value obtained for the magnetic moment is 0.5 μB per cell. As for the symmetry: P-6 (174). Its energy relative to the elements is -0.90 eV per atom.

POSCAR file:
```
Ce6Ni20P13
1.0
-5.192 1.542 -11.547
-7.457 -2.286 10.091
-0.293 3.750 0.633
Ce Ni P
6 20 13
direct
0.531 0.813 0.000
0.282 0.469 0.000
0.187 0.718 0.000
0.813 0.281 0.500
0.468 0.187 0.500
0.719 0.532 0.500
0.806 0.912 0.000
0.106 0.194 0.000
0.088 0.894 0.000
0.333 0.667 0.500
0.928 0.082 0.500
0.154 0.072 0.500
0.918 0.846 0.500
0.667 0.333 0.000
0.564 0.586 0.000
0.022 0.436 0.000
0.414 0.978 0.000
0.684 0.755 0.500
0.070 0.316 0.500
0.245 0.930 0.500
0.977 0.566 0.500
0.589 0.023 0.500
0.434 0.411 0.500
0.758 0.077 0.000
0.319 0.242 0.000
0.923 0.681 0.000
0.480 0.612 0.500
0.133 0.520 0.500
0.388 0.867 0.500
0.725 0.956 0.500
0.231 0.275 0.500
0.044 0.769 0.500
0.867 0.480 0.000
0.613 0.133 0.000
0.520 0.387 0.000
0.954 0.232 0.000
0.278 0.046 0.000
0.768 0.722 0.000
0.000 0.000 0.000
```

=====

Record 6
Material: Sm3Ta17O47
Method: DFT, GGA-PBE
State: relaxed

Computed properties:
As for the final energy: -646.54 eV for the cell shown. As for the total energy after the MP2020 corrections: -678.83 eV per cell. The calculation puts the calculated density at 7.50 g/cm3. As for the symmetry: P2/m (10). Its energy relative to the elements is -3.44 eV per atom.

POSCAR file:
```
Sm3Ta17O47
1.0
-3.035 1.869 -1.615
-5.777 -11.231 -2.136
-10.323 -2.774 16.185
Sm Ta O
3 17 47
direct
0.500 0.000 0.000
0.500 0.624 0.669
0.500 0.376 0.331
0.000 0.976 0.853
0.000 0.810 0.717
0.000 0.892 0.353
0.000 0.721 0.529
0.000 0.762 0.217
0.000 0.772 0.042
0.000 0.492 0.809
0.000 0.587 0.375
0.000 0.413 0.625
0.000 0.508 0.191
0.000 0.228 0.958
0.000 0.238 0.783
0.000 0.500 0.000
0.000 0.279 0.471
0.000 0.108 0.647
0.000 0.190 0.283
0.000 0.024 0.147
0.500 0.975 0.872
0.000 0.913 0.964
0.000 0.953 0.665
0.000 0.858 0.807
0.500 0.782 0.720
0.000 0.918 0.237
0.000 0.846 0.456
0.500 0.888 0.352
0.000 0.660 0.997
0.000 0.767 0.622
0.000 0.876 0.116
0.000 0.635 0.745
0.500 0.708 0.544
0.000 0.746 0.328
0.500 0.764 0.216
0.000 0.530 0.896
0.500 0.802 0.038
0.000 0.624 0.465
0.000 0.572 0.611
0.500 0.500 0.790
0.000 0.672 0.137
0.000 0.600 0.267
0.500 0.566 0.372
0.500 0.434 0.628
0.000 0.400 0.733
0.000 0.328 0.863
0.500 0.500 0.210
0.000 0.428 0.389
0.000 0.376 0.535
0.500 0.198 0.962
0.000 0.470 0.104
0.500 0.500 0.000
0.500 0.236 0.784
0.000 0.254 0.672
0.500 0.292 0.456
0.000 0.365 0.255
0.000 0.124 0.884
0.000 0.233 0.378
0.000 0.340 0.003
0.500 0.112 0.648
0.000 0.154 0.544
0.000 0.082 0.763
0.500 0.218 0.280
0.000 0.142 0.193
0.000 0.047 0.335
0.000 0.087 0.036
0.500 0.025 0.128
```

=====

Record 7
Material: CdAsPd5
Method: DFT, GGA-PBE
State: relaxed

Computed properties:
As for the final energy: -34.19 eV for the cell shown. The calculation puts the calculated density at 10.24 g/cm3. As for the symmetry: P4/mmm (123). Its energy relative to the elements is -0.39 eV per atom.

POSCAR file:
```
CdAsPd5
1.0
4.033 0.000 0.000
0.000 4.033 0.000
0.000 0.000 7.169
Cd As Pd
1 1 5
direct
0.500 0.500 0.000
0.000 0.000 0.500
0.000 0.000 0.000
0.500 0.000 0.710
0.000 0.500 0.710
0.500 0.000 0.290
0.000 0.500 0.290
```

=====

Record 8
Material: Cr8Fe3CuS16
Method: DFT, GGA-PBE
State: relaxed

Computed properties:
As for the final energy: -188.42 eV for the cell shown. As for the total energy after the MP2020 corrections: -196.47 eV per cell. The calculation puts the calculated density at 4.17 g/cm3. The value obtained for the magnetic moment is 28.8 μB per cell. Its relative energy among the computed polymorphs is 0.005 eV/atom. As for the symmetry: R3m (160). Its energy relative to the elements is -0.84 eV per atom.

POSCAR file:
```
Cr8Fe3CuS16
1.0
-4.497 5.791 -9.433
-8.253 0.078 -8.639
-9.472 5.577 -4.682
Cr Fe Cu S
8 3 1 16
direct
0.562 0.063 0.562
0.062 0.565 0.062
0.063 0.562 0.562
0.565 0.062 0.062
0.813 0.813 0.813
0.312 0.312 0.312
0.562 0.562 0.063
0.062 0.062 0.565
0.625 0.625 0.625
0.000 0.000 0.000
0.500 0.500 0.500
0.125 0.125 0.125
0.192 0.680 0.192
0.692 0.180 0.692
0.680 0.192 0.192
0.180 0.692 0.692
0.436 0.436 0.436
0.936 0.936 0.936
0.192 0.192 0.680
0.692 0.692 0.180
0.926 0.457 0.926
0.433 0.946 0.433
0.457 0.926 0.926
0.946 0.433 0.433
0.688 0.688 0.688
0.192 0.192 0.192
0.926 0.926 0.457
0.433 0.433 0.946
```

=====

Record 9
Material: Sm2ZnTe2S2O14
Method: DFT, GGA-PBE
State: relaxed

Computed properties:
As for the final energy: -134.64 eV for the cell shown. As for the total energy after the MP2020 corrections: -144.26 eV per cell. The calculation puts the calculated density at 4.93 g/cm3. The value obtained for the magnetic moment is 0.0 μB per cell. As for the symmetry: P-1 (2). Its energy relative to the elements is -2.37 eV per atom.

POSCAR file:
```
Sm2ZnTe2S2O14
1.0
-5.372 0.000 0.000
-0.585 -8.004 0.000
2.387 3.465 7.123
Sm Zn Te S O
2 1 2 2 14
direct
0.088 0.252 0.986
0.912 0.748 0.014
0.000 0.000 0.500
0.519 0.267 0.658
0.481 0.733 0.342
0.770 0.247 0.253
0.230 0.753 0.747
0.903 0.406 0.258
0.097 0.594 0.742
0.875 0.228 0.430
0.125 0.772 0.570
0.486 0.272 0.221
0.514 0.728 0.779
0.822 0.079 0.090
0.178 0.921 0.910
0.749 0.434 0.891
0.251 0.566 0.109
0.280 0.192 0.747
0.720 0.808 0.253
0.751 0.074 0.663
0.249 0.926 0.337
```

=====

Record 10
Material: SmPbAu
Method: DFT, GGA-PBE
State: relaxed

Computed properties:
As for the final energy: -26.74 eV for the cell shown. The calculation puts the calculated density at 11.84 g/cm3. The value obtained for the magnetic moment is 0.0 μB per cell. As for the symmetry: P6_3/mmc (194). Its energy relative to the elements is -0.55 eV per atom.

POSCAR file:
```
SmPbAu
1.0
-2.445 -4.235 0.000
-2.445 4.235 0.000
0.000 0.000 -7.509
Sm Pb Au
2 2 2
direct
0.000 0.000 0.500
0.000 0.000 0.000
0.333 0.667 0.250
0.667 0.333 0.750
0.333 0.667 0.750
0.667 0.333 0.250
```

=====

Record 11
Material: KNdNb2O6
Method: DFT, GGA-PBE
State: relaxed

Computed properties:
As for the final energy: -81.29 eV for the cell shown. As for the total energy after the MP2020 corrections: -85.42 eV per cell. The calculation puts the calculated density at 5.73 g/cm3. The value obtained for the magnetic moment is 0.0 μB per cell. As for the symmetry: Fm-3m (225). Its energy relative to the elements is -2.96 eV per atom.

POSCAR file:
```
KNdNb2O6
1.0
0.000 -4.069 -4.069
4.069 0.000 -4.069
4.069 -4.069 0.000
K Nd Nb O
1 1 2 6
direct
0.000 0.000 0.000
0.500 0.500 0.500
0.250 0.250 0.250
0.750 0.750 0.750
0.000 0.000 0.500
0.500 0.500 0.000
0.000 0.500 0.500
0.500 0.000 0.000
0.000 0.500 0.000
0.500 0.000 0.500
```

=====

Record 12
Material: NbSiRu
Method: DFT, GGA-PBE
State: relaxed

Computed properties:
As for the final energy: -160.79 eV for the cell shown. The calculation puts the calculated density at 8.25 g/cm3. The value obtained for the magnetic moment is 0.0 μB per cell. As for the symmetry: Ima2 (46). Its energy relative to the elements is -0.67 eV per atom.

POSCAR file:
```
NbSiRu
1.0
7.445 -0.391 -0.124
1.095 -1.006 7.307
-4.200 -4.091 -4.607
Nb Si Ru
6 6 6
direct
0.553 0.096 0.042
0.447 0.489 0.542
0.969 0.497 0.029
0.031 0.060 0.529
0.752 0.917 0.665
0.248 0.914 0.165
0.779 0.530 0.251
0.221 0.473 0.751
0.337 0.829 0.499
0.663 0.163 0.493
0.830 0.829 0.993
0.170 0.163 0.999
0.500 0.251 0.751
0.000 0.251 0.251
0.157 0.744 0.653
0.843 0.496 0.588
0.591 0.744 0.088
0.409 0.496 0.153
```